Record 1
Material: Ca2Ga2SiO7
Method: DFT, PBE-GGA
State: optimized geometry

Output
**Symmetry**: P2_1 (4)
**DFT total energy**: -6.75 eV per atom
**Calculated formation energy**: -2975 meV per atom

a = 5.169 Å, b = 7.919 Å, c = 7.894 Å
α = 90.00°, β = 90.00°, γ = 89.88°
Sites, in units of the cell vectors:
Ga 0.035 0.857 0.643
Ca 0.486 0.352 0.164
O 0.218 0.661 0.587
O 0.258 0.354 0.860
Si 0.054 0.144 0.357
O 0.802 0.174 0.906
O 0.687 0.865 0.640
O 0.219 0.919 0.837
O 0.781 0.581 0.337
O 0.782 0.839 0.087
Ga 0.000 0.499 0.502
O 0.195 0.100 0.173
Ca 0.483 0.673 0.843
Ga 0.000 0.001 0.002
Si 0.946 0.356 0.857
O 0.805 0.400 0.673
O 0.807 0.492 0.989
O 0.313 0.635 0.140
Ca 0.517 0.827 0.343
O 0.742 0.146 0.360
Ca 0.514 0.148 0.664
O 0.193 0.008 0.489
O 0.198 0.326 0.406
Ga 0.965 0.643 0.143

***

Record 2
Material: MgTi11O20
Method: DFT, PBE-GGA
State: optimized geometry

Output
**Symmetry**: Cm (8)
**DFT total energy**: -8.82 eV per atom
**Calculated formation energy**: -3390 meV per atom
**Energy above the lowest structure with this stoichiometry**: 0.00 kJ per mole of atoms

a = 10.763 Å, b = 10.763 Å, c = 5.296 Å
α = 82.67°, β = 82.67°, γ = 138.53°
Sites, in units of the cell vectors:
Ti 0.288 0.598 0.730
Ti 0.711 0.902 0.269
O 0.878 0.558 0.634
O 0.964 0.836 0.900
O 0.623 0.440 0.375
Ti 0.971 0.971 0.607
O 0.466 0.329 0.911
Ti 0.598 0.288 0.730
O 0.535 0.166 0.097
Ti 0.528 0.026 0.389
O 0.329 0.466 0.911
Ti 0.902 0.711 0.269
O 0.741 0.242 0.532
O 0.124 0.940 0.371
O 0.665 0.037 0.096
O 0.242 0.741 0.532
O 0.440 0.623 0.375
O 0.378 0.058 0.625
O 0.558 0.878 0.634
O 0.253 0.253 0.457
O 0.058 0.378 0.625
O 0.940 0.124 0.371
Ti 0.788 0.095 0.735
O 0.768 0.768 0.459
Ti 0.216 0.403 0.268
Mg 0.474 0.474 0.610
O 0.037 0.665 0.096
Ti 0.403 0.216 0.268
Ti 0.095 0.788 0.735
O 0.836 0.964 0.900
O 0.166 0.535 0.097
Ti 0.026 0.528 0.389

***

Record 3
Material: LuSnPt
Method: DFT, PBE-GGA
State: optimized geometry

Output
**Symmetry**: P-62m (189)
**DFT total energy**: -5.94 eV per atom
**Calculated formation energy**: -1073 meV per atom

a = 3.932 Å, b = 7.490 Å, c = 7.490 Å
α = 120.00°, β = 90.00°, γ = 90.00°
Sites, in units of the cell vectors:
Sn 0.000 0.738 0.000
Pt 0.500 0.000 0.000
Lu 0.500 0.401 0.000
Pt 0.000 0.667 0.333
Lu 0.500 0.599 0.599
Sn 0.000 0.262 0.262
Lu 0.500 0.000 0.401
Sn 0.000 0.000 0.738
Pt 0.000 0.333 0.667

***

Question: What is the calculated formation energy in the second record?
Answer: -3390 meV per atom